# Li9Mn2Co5O16 GGA+U optimized geometry
data_Li9Mn2Co5O16
_chemical_formula_sum 'Li9 Mn2 Co5 O16'
_space_group_name_H-M_alt 'P 1'
_space_group_IT_number 1
_space_group_name_Hall 'P 1'
_cell_length_a 5.161
_cell_length_b 5.897
_cell_length_c 10.050
_cell_angle_alpha 89.15
_cell_angle_beta 100.05
_cell_angle_gamma 107.69
loop_
_atom_site_label
_atom_site_type_symbol
_atom_site_fract_x
_atom_site_fract_y
_atom_site_fract_z
O1 O 0.769 0.715 0.064
O2 O 0.789 0.941 0.815
O3 O 0.239 0.035 0.690
O4 O 0.775 0.702 0.574
O5 O 0.219 0.557 0.174
O6 O 0.221 0.562 0.701
O7 O 0.773 0.461 0.821
O8 O 0.780 0.191 0.052
O9 O 0.240 0.292 0.436
O10 O 0.758 0.935 0.316
O11 O 0.759 0.426 0.300
O12 O 0.780 0.189 0.578
O13 O 0.225 0.292 0.930
O14 O 0.214 0.811 0.938
O15 O 0.219 0.067 0.176
O16 O 0.236 0.811 0.425
Co1 Co 0.004 0.749 0.260
Co2 Co 0.992 0.256 0.258
Co3 Co 0.996 0.504 0.999
Co4 Co 0.006 0.249 0.748
Co5 Co 0.000 0.006 0.498
Li1 Li 0.494 0.871 0.617
Li2 Li 0.001 0.499 0.502
Li3 Li 0.491 0.381 0.128
Li4 Li 0.506 0.130 0.376
Li5 Li 0.503 0.133 0.870
Li6 Li 0.500 0.622 0.381
Li7 Li 0.499 0.872 0.133
Li8 Li 0.499 0.620 0.876
Li9 Li 0.513 0.370 0.615
Mn1 Mn 0.002 0.747 0.747
Mn2 Mn 0.998 0.003 0.000
# total energy after the MP2020 corrections	-6.498	eV/atom
# excess energy over the best structure of this formula in the dataset	60	meV per atom
# crystal system	triclinic


# La16Mn15O48 GGA+U optimized geometry
data_La16Mn15O48
_chemical_formula_sum 'La16 Mn15 O48'
_space_group_name_H-M_alt 'P 1'
_space_group_IT_number 1
_space_group_name_Hall 'P 1'
_cell_length_a 7.891
_cell_length_b 7.900
_cell_length_c 15.780
_cell_angle_alpha 90.05
_cell_angle_beta 90.15
_cell_angle_gamma 90.10
loop_
_atom_site_label
_atom_site_type_symbol
_atom_site_fract_x
_atom_site_fract_y
_atom_site_fract_z
O1 O 0.249 0.976 0.228
O2 O 0.751 0.022 0.271
O3 O 0.544 0.968 0.625
O4 O 0.049 0.470 0.125
O5 O 0.476 0.248 0.522
O6 O 0.032 0.958 0.373
O7 O 0.749 0.478 0.725
O8 O 0.749 0.478 0.522
O9 O 0.956 0.533 0.375
O10 O 0.458 0.037 0.875
O11 O 0.249 0.978 0.729
O12 O 0.248 0.971 0.019
O13 O 0.467 0.539 0.136
O14 O 0.251 0.522 0.478
O15 O 0.951 0.530 0.875
O16 O 0.252 0.525 0.770
O17 O 0.970 0.053 0.123
O18 O 0.025 0.250 0.772
O19 O 0.752 0.029 0.981
O20 O 0.767 0.470 0.020
O21 O 0.977 0.750 0.521
O22 O 0.524 0.752 0.478
O23 O 0.533 0.461 0.864
O24 O 0.023 0.251 0.272
O25 O 0.233 0.530 0.980
O26 O 0.970 0.751 0.020
O27 O 0.030 0.947 0.877
O28 O 0.542 0.963 0.125
O29 O 0.521 0.749 0.274
O30 O 0.251 0.522 0.275
O31 O 0.534 0.452 0.373
O32 O 0.249 0.976 0.521
O33 O 0.748 0.475 0.230
O34 O 0.968 0.042 0.627
O35 O 0.030 0.249 0.980
O36 O 0.524 0.752 0.769
O37 O 0.466 0.548 0.627
O38 O 0.525 0.766 0.980
O39 O 0.023 0.250 0.479
O40 O 0.975 0.750 0.228
O41 O 0.476 0.248 0.231
O42 O 0.751 0.024 0.772
O43 O 0.977 0.749 0.728
O44 O 0.044 0.467 0.625
O45 O 0.479 0.251 0.726
O46 O 0.475 0.234 0.020
O47 O 0.751 0.024 0.479
O48 O 0.456 0.032 0.375
La1 La 0.240 0.232 0.627
La2 La 0.275 0.285 0.883
La3 La 0.265 0.760 0.375
La4 La 0.725 0.715 0.117
La5 La 0.249 0.240 0.120
La6 La 0.242 0.731 0.120
La7 La 0.768 0.257 0.373
La8 La 0.725 0.247 0.118
La9 La 0.758 0.269 0.880
La10 La 0.735 0.240 0.625
La11 La 0.760 0.768 0.373
La12 La 0.751 0.760 0.880
La13 La 0.742 0.734 0.626
La14 La 0.275 0.753 0.882
La15 La 0.258 0.266 0.374
La16 La 0.232 0.743 0.627
Mn1 Mn 0.499 0.499 0.252
Mn2 Mn 0.000 0.500 0.000
Mn3 Mn 0.500 0.000 0.000
Mn4 Mn 0.500 0.000 0.500
Mn5 Mn 0.000 0.000 0.246
Mn6 Mn 0.501 0.501 0.748
Mn7 Mn 0.499 0.999 0.249
Mn8 Mn 0.500 0.500 0.500
Mn9 Mn 0.000 0.498 0.751
Mn10 Mn 0.501 0.001 0.751
Mn11 Mn 0.000 0.000 0.754
Mn12 Mn 0.000 0.000 0.000
Mn13 Mn 0.000 0.000 0.500
Mn14 Mn 0.000 0.500 0.500
Mn15 Mn 0.000 0.502 0.249
# total energy after the MP2020 corrections	-8.741	eV/atom
# excess energy over the best structure of this formula in the dataset	0	meV per atom
# crystal system	triclinic


# Li32Ti5Cr11O48 GGA+U optimized geometry
data_Li32Ti5Cr11O48
_chemical_formula_sum 'Li32 Ti5 Cr11 O48'
_space_group_name_H-M_alt 'P 1'
_space_group_IT_number 1
_space_group_name_Hall 'P 1'
_cell_length_a 5.062
_cell_length_b 5.063
_cell_length_c 38.585
_cell_angle_alpha 88.81
_cell_angle_beta 91.07
_cell_angle_gamma 60.06
loop_
_atom_site_label
_atom_site_type_symbol
_atom_site_fract_x
_atom_site_fract_y
_atom_site_fract_z
Li1 Li 0.812 0.687 0.438
Li2 Li 0.562 0.938 0.688
Li3 Li 0.686 0.812 0.062
Li4 Li 0.752 0.754 0.250
Li5 Li 0.249 0.250 0.750
Li6 Li 0.312 0.188 0.937
Li7 Li 0.586 0.592 0.750
Li8 Li 0.720 0.460 0.125
Li9 Li 0.625 0.872 0.875
Li10 Li 0.873 0.621 0.625
Li11 Li 0.499 0.996 0.500
Li12 Li 0.340 0.843 0.000
Li13 Li 0.187 0.315 0.562
Li14 Li 0.125 0.380 0.375
Li15 Li 0.375 0.122 0.125
Li16 Li 0.412 0.409 0.250
Li17 Li 0.995 0.499 0.000
Li18 Li 0.088 0.089 0.250
Li19 Li 0.061 0.438 0.187
Li20 Li 0.530 0.293 0.625
Li21 Li 0.664 0.157 0.000
Li22 Li 0.834 0.347 0.500
Li23 Li 0.030 0.791 0.125
Li24 Li 0.915 0.908 0.750
Li25 Li 0.439 0.059 0.313
Li26 Li 0.939 0.563 0.813
Li27 Li 0.789 0.029 0.375
Li28 Li 0.220 0.959 0.625
Li29 Li 0.166 0.656 0.500
Li30 Li 0.970 0.214 0.875
Li31 Li 0.461 0.717 0.375
Li32 Li 0.279 0.540 0.875
O1 O 0.809 0.044 0.466
O2 O 0.944 0.556 0.909
O3 O 0.334 0.531 0.966
O4 O 0.788 0.066 0.285
O5 O 0.416 0.436 0.159
O6 O 0.553 0.587 0.660
O7 O 0.032 0.831 0.034
O8 O 0.053 0.442 0.091
O9 O 0.572 0.288 0.715
O10 O 0.436 0.416 0.341
O11 O 0.433 0.716 0.284
O12 O 0.433 0.076 0.216
O13 O 0.291 0.843 0.909
O14 O 0.285 0.570 0.784
O15 O 0.969 0.166 0.966
O16 O 0.707 0.155 0.091
O17 O 0.680 0.820 0.966
O18 O 0.937 0.576 0.716
O19 O 0.344 0.799 0.091
O20 O 0.816 0.331 0.409
O21 O 0.534 0.326 0.534
O22 O 0.567 0.926 0.784
O23 O 0.696 0.800 0.158
O24 O 0.951 0.909 0.841
O25 O 0.188 0.298 0.659
O26 O 0.716 0.431 0.216
O27 O 0.076 0.434 0.284
O28 O 0.206 0.942 0.716
O29 O 0.066 0.788 0.216
O30 O 0.918 0.933 0.659
O31 O 0.837 0.308 0.590
O32 O 0.187 0.960 0.534
O33 O 0.162 0.696 0.410
O34 O 0.450 0.062 0.409
O35 O 0.175 0.312 0.466
O36 O 0.657 0.209 0.909
O37 O 0.675 0.469 0.034
O38 O 0.584 0.565 0.841
O39 O 0.303 0.200 0.842
O40 O 0.048 0.093 0.160
O41 O 0.195 0.659 0.591
O42 O 0.463 0.678 0.465
O43 O 0.935 0.212 0.785
O44 O 0.800 0.696 0.342
O45 O 0.092 0.047 0.341
O46 O 0.319 0.176 0.034
O47 O 0.824 0.678 0.533
O48 O 0.551 0.941 0.591
Cr1 Cr 0.484 0.347 0.438
Cr2 Cr 0.106 0.728 0.313
Cr3 Cr 0.728 0.104 0.188
Cr4 Cr 0.272 0.894 0.813
Cr5 Cr 0.902 0.266 0.687
Cr6 Cr 0.519 0.645 0.562
Cr7 Cr 0.019 0.145 0.063
Cr8 Cr 0.221 0.609 0.687
Cr9 Cr 0.641 0.516 0.938
Cr10 Cr 0.983 0.859 0.938
Cr11 Cr 0.141 0.028 0.437
Ti1 Ti 0.599 0.231 0.812
Ti2 Ti 0.856 0.976 0.563
Ti3 Ti 0.767 0.401 0.312
Ti4 Ti 0.401 0.765 0.188
Ti5 Ti 0.357 0.485 0.062
# total energy after the MP2020 corrections	-7.081	eV/atom
# crystal system	triclinic


# Li3MnPCO7 GGA+U optimized geometry
data_Li3MnPCO7
_chemical_formula_sum 'Li12 Mn4 P4 C4 O28'
_space_group_name_H-M_alt 'P 1'
_space_group_IT_number 1
_space_group_name_Hall 'P 1'
_cell_length_a 6.480
_cell_length_b 9.567
_cell_length_c 9.835
_cell_angle_alpha 63.83
_cell_angle_beta 90.00
_cell_angle_gamma 90.00
loop_
_atom_site_label
_atom_site_type_symbol
_atom_site_fract_x
_atom_site_fract_y
_atom_site_fract_z
O1 O 0.238 0.930 0.763
O2 O 0.940 0.693 0.314
O3 O 0.755 0.427 0.447
O4 O 0.250 0.422 0.838
O5 O 0.240 0.846 0.082
O6 O 0.250 0.422 0.338
O7 O 0.746 0.897 0.484
O8 O 0.060 0.312 0.180
O9 O 0.245 0.573 0.553
O10 O 0.560 0.693 0.814
O11 O 0.754 0.897 0.984
O12 O 0.940 0.688 0.820
O13 O 0.740 0.154 0.418
O14 O 0.262 0.930 0.263
O15 O 0.750 0.578 0.162
O16 O 0.560 0.688 0.320
O17 O 0.750 0.578 0.662
O18 O 0.260 0.846 0.582
O19 O 0.255 0.573 0.053
O20 O 0.762 0.070 0.237
O21 O 0.440 0.312 0.680
O22 O 0.246 0.103 0.016
O23 O 0.760 0.154 0.918
O24 O 0.060 0.307 0.686
O25 O 0.745 0.427 0.947
O26 O 0.440 0.307 0.186
O27 O 0.254 0.103 0.516
O28 O 0.738 0.070 0.737
P1 P 0.747 0.593 0.814
P2 P 0.753 0.593 0.314
P3 P 0.247 0.407 0.686
P4 P 0.253 0.407 0.186
Li1 Li 0.247 0.103 0.312
Li2 Li 0.989 0.715 0.510
Li3 Li 0.753 0.897 0.688
Li4 Li 0.011 0.285 0.490
Li5 Li 0.489 0.285 0.990
Li6 Li 0.755 0.353 0.684
Li7 Li 0.747 0.897 0.188
Li8 Li 0.253 0.103 0.812
Li9 Li 0.511 0.715 0.010
Li10 Li 0.745 0.353 0.184
Li11 Li 0.245 0.647 0.316
Li12 Li 0.255 0.647 0.816
Mn1 Mn 0.501 0.731 0.515
Mn2 Mn 0.999 0.731 0.015
Mn3 Mn 0.499 0.269 0.485
Mn4 Mn 0.001 0.269 0.985
C1 C 0.249 0.958 0.123
C2 C 0.251 0.958 0.623
C3 C 0.749 0.042 0.377
C4 C 0.751 0.042 0.877
# total energy after the MP2020 corrections	-7.341	eV/atom
# excess energy over the best structure of this formula in the dataset	16	meV per atom
# crystal system	monoclinic


# Mg14VNiO16 GGA+U optimized geometry
data_Mg14VNiO16
_chemical_formula_sum 'Mg14 V1 Ni1 O16'
_space_group_name_H-M_alt 'P 1'
_space_group_IT_number 1
_space_group_name_Hall 'P 1'
_cell_length_a 8.528
_cell_length_b 8.530
_cell_length_c 4.273
_cell_angle_alpha 90.00
_cell_angle_beta 90.00
_cell_angle_gamma 90.00
loop_
_atom_site_label
_atom_site_type_symbol
_atom_site_fract_x
_atom_site_fract_y
_atom_site_fract_z
Mg1 Mg 0.251 0.500 0.500
Mg2 Mg 0.500 0.500 0.000
Mg3 Mg 0.000 0.752 0.500
Mg4 Mg 0.000 0.248 0.500
Mg5 Mg 0.500 0.750 0.500
Mg6 Mg 0.250 0.249 0.000
Mg7 Mg 0.250 0.751 0.000
Mg8 Mg 0.749 0.500 0.500
Mg9 Mg 0.249 0.000 0.500
Mg10 Mg 0.500 0.250 0.500
Mg11 Mg 0.500 0.000 0.000
Mg12 Mg 0.751 0.000 0.500
Mg13 Mg 0.750 0.249 0.000
Mg14 Mg 0.750 0.751 0.000
O1 O 0.751 0.750 0.500
O2 O 0.000 0.245 0.000
O3 O 0.751 0.250 0.500
O4 O 0.249 0.750 0.500
O5 O 0.255 0.500 0.000
O6 O 0.000 0.500 0.500
O7 O 0.500 0.751 0.000
O8 O 0.749 0.000 0.000
O9 O 0.000 0.755 0.000
O10 O 0.249 0.250 0.500
O11 O 0.251 0.000 0.000
O12 O 0.500 0.249 0.000
O13 O 0.745 0.500 0.000
O14 O 0.000 0.000 0.500
O15 O 0.500 0.500 0.500
O16 O 0.500 0.000 0.500
V1 V 0.000 0.500 0.000
Ni1 Ni 0.000 0.000 0.000
# total energy after the MP2020 corrections	-6.506	eV/atom
# crystal system	orthorhombic


# MnH8N2F6 GGA+U optimized geometry
data_MnH8N2F6
_chemical_formula_sum 'Mn2 H16 N4 F12'
_space_group_name_H-M_alt 'P 1'
_space_group_IT_number 1
_space_group_name_Hall 'P 1'
_cell_length_a 5.948
_cell_length_b 5.948
_cell_length_c 9.536
_cell_angle_alpha 90.00
_cell_angle_beta 90.00
_cell_angle_gamma 120.00
loop_
_atom_site_label
_atom_site_type_symbol
_atom_site_fract_x
_atom_site_fract_y
_atom_site_fract_z
F1 F 0.814 0.629 0.862
F2 F 0.520 0.480 0.639
F3 F 0.814 0.186 0.862
F4 F 0.480 0.960 0.139
F5 F 0.629 0.814 0.362
F6 F 0.040 0.520 0.139
F7 F 0.186 0.371 0.362
F8 F 0.520 0.040 0.639
F9 F 0.186 0.814 0.362
F10 F 0.371 0.186 0.862
F11 F 0.480 0.520 0.139
F12 F 0.960 0.480 0.639
H1 H 0.573 0.145 0.412
H2 H 0.427 0.855 0.912
H3 H 0.667 0.333 0.268
H4 H 0.811 0.906 0.556
H5 H 0.333 0.667 0.768
H6 H 0.000 0.000 0.201
H7 H 0.906 0.811 0.056
H8 H 0.189 0.094 0.056
H9 H 0.855 0.427 0.412
H10 H 0.906 0.094 0.056
H11 H 0.094 0.189 0.556
H12 H 0.094 0.906 0.556
H13 H 0.145 0.573 0.912
H14 H 0.573 0.427 0.412
H15 H 0.000 0.000 0.701
H16 H 0.427 0.573 0.912
Mn1 Mn 0.333 0.667 0.251
Mn2 Mn 0.667 0.333 0.751
N1 N 0.000 0.000 0.593
N2 N 0.667 0.333 0.376
N3 N 0.333 0.667 0.876
N4 N 0.000 0.000 0.093
# total energy after the MP2020 corrections	-5.274	eV/atom
# crystal system	hexagonal
# maximum piezoelectric response	0.708	C/m2


# MgCo6O8F4 GGA+U optimized geometry
data_MgCo6O8F4
_chemical_formula_sum 'Mg1 Co6 O8 F4'
_space_group_name_H-M_alt 'P 1'
_space_group_IT_number 1
_space_group_name_Hall 'P 1'
_cell_length_a 8.286
_cell_length_b 5.858
_cell_length_c 5.712
_cell_angle_alpha 66.35
_cell_angle_beta 63.28
_cell_angle_gamma 61.88
loop_
_atom_site_label
_atom_site_type_symbol
_atom_site_fract_x
_atom_site_fract_y
_atom_site_fract_z
Co1 Co 0.216 0.344 0.350
Co2 Co 0.300 0.670 0.672
Co3 Co 0.027 0.974 0.011
Co4 Co 0.864 0.672 0.681
Co5 Co 0.480 0.992 0.988
Co6 Co 0.635 0.348 0.301
Mg1 Mg 0.834 0.188 0.648
O1 O 0.671 0.025 0.632
O2 O 0.011 0.304 0.692
O3 O 0.666 0.637 0.019
O4 O 0.036 0.802 0.752
O5 O 0.368 0.437 0.438
O6 O 0.022 0.677 0.319
O7 O 0.325 0.354 0.983
O8 O 0.338 0.982 0.355
F1 F 0.316 0.872 0.891
F2 F 0.718 0.117 0.058
F3 F 0.934 0.220 0.251
F4 F 0.615 0.527 0.567
# total energy after the MP2020 corrections	-6.419	eV/atom
# excess energy over the best structure of this formula in the dataset	1	meV per atom
# crystal system	triclinic


# Rb2Pr2MgW4O16 GGA+U optimized geometry
data_Rb2Pr2MgW4O16
_chemical_formula_sum 'Rb2 Pr2 Mg1 W4 O16'
_space_group_name_H-M_alt 'P 1'
_space_group_IT_number 1
_space_group_name_Hall 'P 1'
_cell_length_a 8.402
_cell_length_b 7.641
_cell_length_c 7.550
_cell_angle_alpha 61.08
_cell_angle_beta 64.54
_cell_angle_gamma 87.71
loop_
_atom_site_label
_atom_site_type_symbol
_atom_site_fract_x
_atom_site_fract_y
_atom_site_fract_z
O1 O 0.421 0.646 0.527
O2 O 0.583 0.359 0.479
O3 O 0.659 0.955 0.599
O4 O 0.723 0.613 0.575
O5 O 0.098 0.392 0.842
O6 O 0.613 0.391 0.048
O7 O 0.757 0.964 0.190
O8 O 0.380 0.256 0.932
O9 O 0.328 0.030 0.415
O10 O 0.395 0.619 0.941
O11 O 0.632 0.750 0.048
O12 O 0.228 0.043 0.821
O13 O 0.283 0.390 0.429
O14 O 0.918 0.600 0.157
O15 O 0.080 0.247 0.289
O16 O 0.916 0.737 0.720
W1 W 0.682 0.665 0.297
W2 W 0.313 0.314 0.697
W3 W 0.676 0.685 0.798
W4 W 0.325 0.311 0.194
Pr1 Pr 0.160 0.743 0.799
Pr2 Pr 0.838 0.261 0.213
Rb1 Rb 0.199 0.791 0.261
Rb2 Rb 0.791 0.202 0.750
Mg1 Mg 0.529 0.922 0.444
# total energy after the MP2020 corrections	-8.301	eV/atom
# excess energy over the best structure of this formula in the dataset	49	meV per atom
# crystal system	triclinic


no.,total energy (eV/atom),formation energy from the elements (meV/atom)
1,-5.7946,-1804
2,-8.0064,-2995
3,-6.5080,-2453
4,-6.8427,-2405
5,-6.0295,-2867
6,-5.0123,-1481
7,-5.5151,-1603
8,-7.1509,-2536